# 1
Gd3OsO7 after structural relaxation, computed with r²SCAN.

The structure in POSCAR format:
```
Gd3OsO7
1.0
5.325 -3.678 0.000
5.325 3.678 0.000
0.000 0.000 7.440
Gd Os O
6 2 14
direct
0.000 0.000 0.000
0.000 0.000 0.500
0.071 0.478 0.750
0.478 0.071 0.250
0.522 0.929 0.750
0.929 0.522 0.250
0.500 0.500 0.000
0.500 0.500 0.500
0.109 0.156 0.250
0.156 0.109 0.750
0.183 0.562 0.039
0.183 0.562 0.461
0.410 0.590 0.750
0.438 0.817 0.039
0.438 0.817 0.461
0.562 0.183 0.539
0.562 0.183 0.961
0.590 0.410 0.250
0.817 0.438 0.539
0.817 0.438 0.961
0.844 0.891 0.250
0.891 0.844 0.750
```

Values from the calculation:
- Calculated density: 8.8 g/cm³
- Total moment: 36.00 μB per cell
- Volume: 291.4 Å³ per cell
- Formation enthalpy at 0 K: -2.97 eV per atom



# 2
Y2O3 after structural relaxation, computed with r²SCAN.

The structure in POSCAR format:
```
Y2O3
1.0
6.969 -1.744 0.000
6.969 1.744 0.000
-1.518 0.000 8.479
Y O
6 9
direct
0.033 0.033 0.313
0.309 0.309 0.363
0.365 0.365 0.013
0.635 0.635 0.987
0.691 0.691 0.637
0.967 0.967 0.687
0.128 0.128 0.782
0.175 0.175 0.470
0.207 0.207 0.123
0.471 0.471 0.843
0.500 0.500 0.500
0.529 0.529 0.157
0.793 0.793 0.877
0.825 0.825 0.530
0.872 0.872 0.218
```

Values from the calculation:
- Calculated density: 5.5 g/cm³
- Total moment: 0.00 μB per cell
- Volume: 206.1 Å³ per cell
- Formation enthalpy at 0 K: -3.87 eV per atom



# 3
NdAs2Pd3 after structural relaxation, computed with r²SCAN.

The structure in POSCAR format:
```
NdAs2Pd3
1.0
8.346 -2.059 0.000
8.346 2.059 0.000
-3.076 0.000 9.573
Nd As Pd
3 6 9
direct
0.000 0.000 0.000
0.154 0.154 0.701
0.846 0.846 0.299
0.200 0.200 0.130
0.363 0.363 0.547
0.462 0.462 0.215
0.538 0.538 0.785
0.637 0.637 0.453
0.800 0.800 0.870
0.044 0.044 0.333
0.222 0.222 0.391
0.322 0.322 0.034
0.375 0.375 0.798
0.500 0.500 0.500
0.625 0.625 0.202
0.678 0.678 0.966
0.778 0.778 0.609
0.956 0.956 0.667
```

Values from the calculation:
- Calculated density: 9.3 g/cm³
- Total moment: 0.00 μB per cell
- Volume: 329.1 Å³ per cell
- Formation enthalpy at 0 K: -0.89 eV per atom



# 4
La3CuSnSe7 after structural relaxation, computed with r²SCAN.

The structure in POSCAR format:
```
La3CuSnSe7
1.0
10.780 0.000 0.000
-5.390 9.336 0.000
0.000 0.000 6.350
La Cu Sn Se
6 2 2 14
direct
0.135 0.779 0.000
0.221 0.355 0.000
0.355 0.135 0.500
0.645 0.865 0.000
0.779 0.645 0.500
0.865 0.221 0.500
0.000 0.000 0.035
0.000 0.000 0.535
0.333 0.667 0.420
0.667 0.333 0.920
0.088 0.515 0.254
0.097 0.845 0.525
0.155 0.252 0.525
0.252 0.097 0.025
0.333 0.667 0.812
0.427 0.912 0.254
0.485 0.573 0.254
0.515 0.427 0.754
0.573 0.088 0.754
0.667 0.333 0.312
0.748 0.903 0.525
0.845 0.748 0.025
0.903 0.155 0.025
0.912 0.485 0.754
```

Values from the calculation:
- Calculated density: 6.0 g/cm³
- Total moment: 0.00 μB per cell
- Volume: 639.0 Å³ per cell
- Formation enthalpy at 0 K: -1.65 eV per atom



# 5
CeSi2 after structural relaxation, computed with r²SCAN.

The structure in POSCAR format:
```
CeSi2
1.0
-2.090 2.090 6.992
2.090 -2.090 6.992
2.090 2.090 -6.992
Ce Si
2 4
direct
0.375 0.625 0.750
0.625 0.375 0.250
0.041 0.791 0.250
0.209 0.959 0.250
0.791 0.041 0.750
0.959 0.209 0.750
```

Values from the calculation:
- Calculated density: 5.3 g/cm³
- Total moment: 1.87 μB per cell
- Volume: 122.2 Å³ per cell
- Formation enthalpy at 0 K: -0.68 eV per atom



# 6
YbZnAu2 after structural relaxation, computed with r²SCAN.

The structure in POSCAR format:
```
YbZnAu2
1.0
0.000 3.341 3.341
3.341 0.000 3.341
3.341 3.341 0.000
Yb Zn Au
1 1 2
direct
0.000 0.000 0.000
0.500 0.500 0.500
0.250 0.250 0.250
0.750 0.750 0.750
```

Values from the calculation:
- Calculated density: 14.1 g/cm³
- Total moment: 0.00 μB per cell
- Volume: 74.6 Å³ per cell
- Formation enthalpy at 0 K: -0.70 eV per atom